# Li2MnP2O7 PBE with a Hubbard U optimized geometry
data_Li2MnP2O7
_chemical_formula_sum 'Li16 Mn8 P16 O56'
_cell_length_a 10.3265
_cell_length_b 10.3265
_cell_length_c 13.6473
_cell_angle_alpha 90.00
_cell_angle_beta 90.00
_cell_angle_gamma 120.00
_symmetry_space_group_name_H-M 'P 3'
_symmetry_Int_Tables_number 143
_symmetry_space_group_name_Hall 'P 3'
loop_
_atom_site_label
_atom_site_type_symbol
_atom_site_fract_x
_atom_site_fract_y
_atom_site_fract_z
_atom_site_occupancy
Li1 Li 0.0000 0.0000 0.0000 1
Li2 Li 0.0000 0.0000 0.4226 1
Li3 Li 0.0002 0.4992 0.4185 1
Li4 Li 0.0010 0.5026 0.9159 1
Li5 Li 0.1655 0.3309 0.6251 1
Li6 Li 0.3333 0.6667 0.1240 1
Li7 Li 0.3347 0.1658 0.1229 1
Li8 Li 0.6667 0.3333 0.6233 1
Mn1 Mn 0.0000 0.0000 0.2318 1
Mn2 Mn 0.0000 0.0000 0.7401 1
Mn3 Mn 0.0006 0.5006 0.7260 1
Mn4 Mn 0.4995 0.4988 0.2274 1
P1 P 0.1643 0.8330 0.0986 1
P2 P 0.1667 0.3355 0.8634 1
P3 P 0.3329 0.1661 0.6024 1
P4 P 0.3333 0.6667 0.3664 1
P5 P 0.3333 0.6667 0.6015 1
P6 P 0.3336 0.1669 0.3672 1
P7 P 0.6667 0.3333 0.1017 1
P8 P 0.6667 0.3333 0.8663 1
O1 O 0.0260 0.1780 0.1221 1
O2 O 0.0256 0.6882 0.1325 1
O3 O 0.0435 0.1800 0.8370 1
O4 O 0.0472 0.6758 0.8350 1
O5 O 0.1325 0.4597 0.8387 1
O6 O 0.1563 0.4673 0.1326 1
O7 O 0.1639 0.8266 0.9835 1
O8 O 0.1745 0.1275 0.3392 1
O9 O 0.1747 0.6269 0.3378 1
O10 O 0.1861 0.1579 0.6321 1
O11 O 0.1873 0.6612 0.6314 1
O12 O 0.3333 0.6667 0.4848 1
O13 O 0.3345 0.1665 0.4854 1
O14 O 0.3415 0.0267 0.6316 1
O15 O 0.3718 0.0474 0.3374 1
O16 O 0.4524 0.3253 0.3385 1
O17 O 0.4731 0.3130 0.6321 1
O18 O 0.5275 0.1864 0.1325 1
O19 O 0.5474 0.1748 0.8387 1
O20 O 0.6667 0.3333 0.9858 1
# E above lowest polymorph = 80 meV per atom
# Magnetic moment = 0.4167 μB/atom
# DFT formation energy = -59.771 kcal/mol of atoms

=====

# LiV4O10 PBE with a Hubbard U optimized geometry
data_LiV4O10
_chemical_formula_sum 'Li1 V4 O10'
_cell_length_a 5.990
_cell_length_b 6.721
_cell_length_c 7.613
_cell_angle_alpha 75.20
_cell_angle_beta 74.05
_cell_angle_gamma 74.62
_symmetry_space_group_name_H-M 'P 1'
_symmetry_Int_Tables_number 1
_symmetry_space_group_name_Hall 'P 1'
loop_
_atom_site_label
_atom_site_type_symbol
_atom_site_fract_x
_atom_site_fract_y
_atom_site_fract_z
_atom_site_occupancy
Li1 Li 0.000 0.000 0.000 1
V1 V 0.140 0.331 0.545 1
V2 V 0.440 0.755 0.689 1
V3 V 0.609 0.188 0.737 1
V4 V 0.987 0.887 0.486 1
O1 O 0.007 0.605 0.543 1
O2 O 0.243 0.780 0.886 1
O3 O 0.269 0.224 0.740 1
O4 O 0.293 0.860 0.498 1
O5 O 0.351 0.315 0.360 1
O6 O 0.562 0.495 0.684 1
O7 O 0.667 0.913 0.649 1
O8 O 0.682 0.110 0.941 1
O9 O 0.922 0.171 0.557 1
O10 O 0.971 0.957 0.268 1
# E above lowest polymorph = 15 meV per atom
# Magnetic moment = 0.0667 μB/atom
# DFT formation energy = -53.904 kcal/mol of atoms

=====

# AlCrMo6H38O40 PBE with a Hubbard U optimized geometry
data_AlCrMo6H38O40
_chemical_formula_sum 'Al1 Cr1 Mo6 H38 O40'
_cell_length_a 6.889
_cell_length_b 11.469
_cell_length_c 11.967
_cell_angle_alpha 101.83
_cell_angle_beta 96.37
_cell_angle_gamma 103.25
_symmetry_space_group_name_H-M 'P -1'
_symmetry_Int_Tables_number 2
_symmetry_space_group_name_Hall '-P 1'
loop_
_atom_site_label
_atom_site_type_symbol
_atom_site_fract_x
_atom_site_fract_y
_atom_site_fract_z
_atom_site_occupancy
Al1 Al 0.000 0.000 0.000 1
Cr1 Cr 0.000 0.500 0.500 1
Mo1 Mo 0.025 0.430 0.209 1
Mo2 Mo 0.343 0.746 0.683 1
Mo3 Mo 0.374 0.671 0.400 1
H1 H 0.011 0.700 0.205 1
H2 H 0.027 0.817 0.087 1
H3 H 0.031 0.851 0.809 1
H4 H 0.041 0.735 0.484 1
H5 H 0.071 0.045 0.229 1
H6 H 0.107 0.946 0.381 1
H7 H 0.124 0.125 0.491 1
H8 H 0.197 0.230 0.608 1
H9 H 0.206 0.286 0.837 1
H10 H 0.251 0.888 0.073 1
H11 H 0.279 0.484 0.659 1
H12 H 0.296 0.413 0.415 1
H13 H 0.320 0.035 0.383 1
H14 H 0.342 0.158 0.082 1
H15 H 0.351 0.095 0.947 1
H16 H 0.461 0.585 0.142 1
H17 H 0.463 0.385 0.970 1
H18 H 0.467 0.059 0.781 1
H19 H 0.484 0.800 0.144 1
O1 O 0.007 0.069 0.161 1
O2 O 0.060 0.242 0.819 1
O3 O 0.076 0.173 0.557 1
O4 O 0.096 0.730 0.754 1
O5 O 0.105 0.872 0.039 1
O6 O 0.125 0.678 0.506 1
O7 O 0.152 0.609 0.269 1
O8 O 0.162 0.563 0.896 1
O9 O 0.174 0.028 0.371 1
O10 O 0.186 0.538 0.652 1
O11 O 0.210 0.468 0.400 1
O12 O 0.216 0.393 0.137 1
O13 O 0.265 0.097 0.009 1
O14 O 0.378 0.900 0.674 1
O15 O 0.421 0.825 0.398 1
O16 O 0.425 0.380 0.658 1
O17 O 0.462 0.350 0.889 1
O18 O 0.483 0.247 0.198 1
O19 O 0.486 0.886 0.140 1
O20 O 0.491 0.683 0.563 1
# Magnetic moment = 0.0349 μB/atom
# DFT formation energy = -35.603 kcal/mol of atoms

=====

# Li3VPCO7 PBE with a Hubbard U optimized geometry
data_Li3VPCO7
_chemical_formula_sum 'Li12 V4 P4 C4 O28'
_cell_length_a 8.654
_cell_length_b 6.510
_cell_length_c 9.692
_cell_angle_alpha 90.00
_cell_angle_beta 91.91
_cell_angle_gamma 90.00
_symmetry_space_group_name_H-M 'P 1 21/c 1'
_symmetry_Int_Tables_number 14
_symmetry_space_group_name_Hall '-P 2ybc'
loop_
_atom_site_label
_atom_site_type_symbol
_atom_site_fract_x
_atom_site_fract_y
_atom_site_fract_z
_atom_site_occupancy
Li1 Li 0.110 0.241 0.366 1
Li2 Li 0.291 0.017 0.127 1
Li3 Li 0.371 0.743 0.865 1
V1 V 0.248 0.518 0.137 1
P1 P 0.408 0.239 0.391 1
C1 C 0.054 0.744 0.386 1
O1 O 0.074 0.705 0.256 1
O2 O 0.089 0.229 0.573 1
O3 O 0.167 0.746 0.975 1
O4 O 0.312 0.059 0.329 1
O5 O 0.318 0.063 0.845 1
O6 O 0.409 0.225 0.552 1
O7 O 0.423 0.750 0.156 1
# E above lowest polymorph = 19 meV per atom
# Magnetic moment = 0.2307 μB/atom
# DFT formation energy = -55.648 kcal/mol of atoms